Here is an optimized crystal structure of K3SbS4 from Materials Project. Energies are from PBE.

Cell: 6.816 6.816 6.816 Å, 109.47 109.47 109.47°
Positions (direct):
S 0.651 0.651 0.651
S 0.000 0.000 0.349
S 0.000 0.349 0.000
S 0.349 0.000 0.000
Sb 0.000 0.000 0.000
K 0.000 0.500 0.500
K 0.500 0.500 0.000
K 0.500 0.000 0.500

ρ: 2.50 g/cm³
formation energy: -1.1299 eV per atom
final energy: -3.879 eV/atom
piezoelectric modulus e_max: 0.7 C/m²
volume: 30.48 Å³/atom

***

Here is an optimized crystal structure of K3SbS4 from Materials Project. Energies are from PBE.

Cell: 7.942 7.942 7.826 Å, 90.00 90.00 93.33°
Positions (direct):
K 0.182 0.256 0.986
S 0.908 0.092 0.273
S 0.952 0.403 0.655
Sb 0.758 0.242 0.482
K 0.695 0.305 0.980
K 0.818 0.744 0.486
K 0.305 0.695 0.480
Sb 0.242 0.758 0.982
S 0.092 0.908 0.773
S 0.597 0.048 0.655
S 0.425 0.575 0.844
S 0.048 0.597 0.155
S 0.575 0.425 0.344
S 0.403 0.952 0.155
K 0.256 0.182 0.486
K 0.744 0.818 0.986

ρ: 2.48 g/cm³
formation energy: -1.1378 eV per atom
final energy: -3.887 eV/atom
piezoelectric modulus e_max: 0.5 C/m²
volume: 30.80 Å³/atom

***

Here is an optimized crystal structure of K2Sb4S7 from Materials Project. Energies are from PBE.

Cell: 6.626 6.626 17.813 Å, 86.73 86.73 75.16°
Positions (direct):
S 0.975 0.476 0.373
Sb 0.306 0.363 0.467
Sb 0.139 0.881 0.881
S 0.524 0.025 0.127
S 0.735 0.488 0.156
S 0.319 0.729 0.461
S 0.488 0.735 0.656
Sb 0.363 0.306 0.967
S 0.729 0.319 0.961
K 0.785 0.551 0.795
Sb 0.119 0.861 0.619
K 0.551 0.785 0.295
S 0.002 0.998 0.250
K 0.215 0.449 0.205
Sb 0.881 0.139 0.381
S 0.025 0.524 0.627
S 0.681 0.271 0.539
S 0.998 0.002 0.750
K 0.449 0.215 0.705
Sb 0.637 0.694 0.033
S 0.265 0.512 0.844
Sb 0.861 0.119 0.119
S 0.512 0.265 0.344
S 0.476 0.975 0.873
Sb 0.694 0.637 0.533
S 0.271 0.681 0.039

ρ: 3.48 g/cm³
formation energy: -0.8209 eV per atom
final energy: -4.219 eV/atom
volume: 29.00 Å³/atom

***

Here is an optimized crystal structure of K2Sn3Sb2S10 from Materials Project. Energies are from PBE.

Cell: 13.509 6.914 11.868 Å, 62.46 90.00 90.00°
Positions (direct):
S 0.900 0.913 0.441
Sb 0.652 0.989 0.409
Sb 0.848 0.989 0.909
Sn 0.947 0.885 0.654
K 0.326 0.446 0.173
S 0.821 0.591 0.034
S 0.524 0.076 0.628
Sb 0.152 0.011 0.091
K 0.674 0.554 0.827
Sn 0.447 0.115 0.846
K 0.174 0.446 0.673
S 0.976 0.076 0.128
S 0.100 0.087 0.559
S 0.549 0.495 0.288
Sn 0.000 0.500 0.000
S 0.799 0.050 0.689
Sn 0.500 0.500 0.500
S 0.701 0.050 0.189
S 0.299 0.950 0.811
S 0.600 0.913 0.941
S 0.400 0.087 0.059
S 0.451 0.505 0.712
S 0.049 0.505 0.212
Sn 0.053 0.115 0.346
S 0.179 0.409 0.966
Sn 0.553 0.885 0.154
K 0.826 0.554 0.327
S 0.024 0.924 0.872
S 0.321 0.409 0.466
S 0.679 0.591 0.534
S 0.476 0.924 0.372
S 0.951 0.495 0.788
S 0.201 0.950 0.311
Sb 0.348 0.011 0.591

ρ: 3.37 g/cm³
formation energy: -0.8425 eV per atom
final energy: -4.304 eV/atom
volume: 28.91 Å³/atom